<a>
This record from the Materials Project describes a relaxed structure of Na4MgCr2O8. The functional is GGA+U.

Calculated values
Calculated volume, Å³ per atom: 17.020

The structure in extended XYZ format:
```
15
Lattice="5.7609 0.0000 0.0000 2.7694 5.2666 0.0000 2.5725 -0.5676 8.4145" Properties=species:S:1:pos:R:3 pbc="T T T"
Na 1.7117 1.0064 0.6488
Na 3.9370 0.7409 5.6751
Na 7.1658 3.9581 2.7394
Na 9.3910 3.6926 7.7658
Mg 4.2651 2.6333 0.0000
Cr 6.5173 2.9401 6.1450
Cr 4.5854 1.7589 2.2695
O 3.3282 2.8947 2.1293
O 5.2242 2.1266 7.1046
O 7.0115 4.0138 7.4928
O 6.0850 3.8277 4.8065
O 5.0177 0.8712 3.6080
O 4.0912 0.6852 0.9217
O 5.8785 2.5723 1.3099
O 7.7746 1.8042 6.2852
```

<b>
This record from the Materials Project describes a relaxed structure of Na4MgCr2O8. The functional is GGA+U.

Calculated values
Calculated volume, Å³ per atom: 14.405

The structure in extended XYZ format:
```
15
Lattice="7.3056 0.0000 0.0000 0.0000 2.9437 5.0237 0.0000 -2.9437 5.0237" Properties=species:S:1:pos:R:3 pbc="T T T"
Na 0.0000 0.0000 0.0000
Na 1.6160 0.0000 6.4375
Na 3.6528 0.0000 3.9927
Na 5.6897 0.0000 6.4375
Mg 3.6528 0.0000 8.4212
Cr 0.0000 0.0000 3.1457
Cr 3.6528 0.0000 1.0743
O 0.0000 -1.5804 7.1912
O 0.0000 1.5804 7.1912
O 1.3342 0.0000 4.1301
O 2.3235 0.0000 9.8940
O 3.6528 -1.4356 7.1037
O 3.6528 1.4356 7.1037
O 4.9822 0.0000 9.8940
O 5.9714 0.0000 4.1301
```

<c>
This record from the Materials Project describes a relaxed structure of Na4MgCr2O8. The functional is GGA+U.

Calculated values
Calculated volume, Å³ per atom: 14.492

The structure in extended XYZ format:
```
15
Lattice="4.6352 -3.0902 0.0000 4.6352 3.0902 0.0000 -0.3045 0.0000 7.5880" Properties=species:S:1:pos:R:3 pbc="T T T"
Na 0.0000 0.0000 0.0000
Na -0.1523 0.0000 3.7940
Na 2.5303 0.0000 5.8415
Na 6.4356 0.0000 1.7464
Mg 4.4830 0.0000 3.7940
Cr 3.0556 0.0000 1.8472
Cr 5.9103 0.0000 5.7408
O 2.2354 0.0000 0.3924
O 4.2411 1.3072 2.1007
O 2.3109 0.0000 3.3920
O 4.7248 1.3072 5.4872
O 4.2411 -1.3072 2.1007
O 6.6550 0.0000 4.1959
O 4.7248 -1.3072 5.4872
O 6.7305 0.0000 7.1955
```

<d>
This record from the Materials Project describes a relaxed structure of Na4MgCr2O8. The functional is GGA+U.

Calculated values
Calculated volume, Å³ per atom: 14.189

The structure in extended XYZ format:
```
15
Lattice="5.9114 0.0000 0.0000 0.0000 6.5775 0.0000 -2.5963 0.0000 5.4740" Properties=species:S:1:pos:R:3 pbc="T T T"
Na 0.0000 0.0000 0.0000
Na -0.1500 3.2888 2.2608
Na 2.7998 1.6899 0.2270
Na 2.7998 4.8877 0.2270
Mg 1.9499 0.0000 2.7029
Cr -0.6768 0.0000 2.6468
Cr 3.1193 3.2888 3.7830
O -1.2789 3.2888 4.4809
O -0.6482 0.0000 4.3938
O 0.5039 1.2490 2.0163
O 0.5039 5.3285 2.0163
O 2.3042 1.8726 4.2335
O 2.3042 4.7050 4.2335
O 3.3134 3.2888 2.1267
O 3.6432 0.0000 1.7457
```

Stability ranking, top entry: <b>; the second entry is 17 meV/atom less favorable.

<a>
This record from the Materials Project describes a relaxed structure of MgCr2Ni2O8. The functional is GGA+U.

Calculated values
Calculated volume, Å³ per atom: 13.018

The structure in extended XYZ format:
```
13
Lattice="6.2361 0.0000 0.0000 0.0000 2.8152 4.8197 0.0000 -2.8152 4.8197" Properties=species:S:1:pos:R:3 pbc="T T T"
Mg 0.0000 0.0000 0.0000
Cr 0.0000 0.0000 7.0931
Cr 3.1181 0.0000 5.2465
Ni 1.7310 0.0000 2.1666
Ni 4.5052 0.0000 2.1666
O 0.0000 -1.6144 6.3702
O 0.0000 1.6144 6.3702
O 1.3040 0.0000 8.1605
O 1.7875 0.0000 4.1700
O 3.1181 -1.4735 6.2695
O 3.1181 1.4735 6.2695
O 4.4486 0.0000 4.1700
O 4.9321 0.0000 8.1605
```

<b>
This record from the Materials Project describes a relaxed structure of MgCr2Ni2O8. The functional is GGA+U.

Calculated values
Calculated volume, Å³ per atom: 11.594

The structure in extended XYZ format:
```
13
Lattice="5.1641 0.0000 0.0000 2.2423 4.7341 0.0000 0.3574 0.3241 6.1653" Properties=species:S:1:pos:R:3 pbc="T T T"
Mg 0.0000 0.0000 0.0000
Cr 1.4038 0.8637 1.8489
Cr 6.3600 4.1945 4.3164
Ni 3.7032 2.3670 0.0000
Ni 3.8819 2.5291 3.0827
O 2.9616 3.7219 4.6193
O 2.1274 1.4153 3.2245
O 3.2601 3.8119 1.5216
O 2.0257 1.2768 0.3520
O 5.7381 3.7814 5.8133
O 4.5037 1.2463 4.6437
O 5.6364 3.6429 2.9408
O 4.8022 1.3363 1.5460
```

<c>
This record from the Materials Project describes a relaxed structure of MgCr2Ni2O8. The functional is GGA+U.

Calculated values
Calculated volume, Å³ per atom: 11.764

The structure in extended XYZ format:
```
13
Lattice="6.3055 0.0000 0.0000 0.0000 2.8223 4.2966 0.0000 -2.8223 4.2966" Properties=species:S:1:pos:R:3 pbc="T T T"
Mg 0.0000 0.0000 0.0000
Cr 0.0000 0.0000 5.8376
Cr 3.1528 0.0000 8.3972
Ni 1.6046 0.0000 2.9090
Ni 4.7009 0.0000 2.9090
O 0.0000 -1.4532 2.7803
O 0.0000 1.4532 2.7803
O 1.3877 0.0000 4.9496
O 1.7568 0.0000 0.8659
O 3.1528 -1.3779 3.1677
O 3.1528 1.3779 3.1677
O 4.5488 0.0000 0.8659
O 4.9178 0.0000 4.9496
```

Stability ranking, top entry: <c>; the second entry is 196 meV/atom less favorable.

<a>
This record from the Materials Project describes a relaxed structure of MgCr4O8. The functional is GGA+U.

Calculated values
Calculated volume, Å³ per atom: 11.571

The structure in extended XYZ format:
```
13
Lattice="5.1239 -3.0351 0.0000 5.1239 3.0351 0.0000 -3.4329 0.0000 4.8364" Properties=species:S:1:pos:R:3 pbc="T T T"
Mg 0.0000 0.0000 0.0000
Cr 4.2544 1.5306 3.0172
Cr 3.4478 0.0000 0.6546
Cr 1.7658 0.0000 3.0216
Cr 4.2544 -1.5306 3.0172
O 0.0308 0.0000 2.0014
O -1.5335 0.0000 4.2038
O 0.7943 1.3423 4.1928
O 2.6249 1.2893 1.8570
O 0.7943 -1.3423 4.1928
O 2.6249 -1.2893 1.8570
O 4.8473 0.0000 1.8596
O 3.3555 0.0000 3.9626
```

<b>
This record from the Materials Project describes a relaxed structure of MgCr4O8. The functional is GGA+U.

Calculated values
Calculated volume, Å³ per atom: 10.540

The structure in extended XYZ format:
```
13
Lattice="4.9747 0.0000 0.0000 0.8011 5.0129 0.0000 0.1855 0.5232 5.4946" Properties=species:S:1:pos:R:3 pbc="T T T"
Mg 0.0000 0.0000 0.0000
Cr 2.6836 1.9577 4.8761
Cr 3.1487 4.6681 2.5970
Cr 5.2487 3.3271 4.1872
Cr 5.0602 1.7891 2.0254
O 1.1067 3.5786 2.4887
O 0.9968 1.4447 3.8479
O 1.7452 3.7033 5.1270
O 1.5535 0.7671 1.1048
O 3.6540 2.7809 3.1602
O 4.2157 5.0908 4.3189
O 4.1741 2.0440 0.2257
O 4.7953 5.1412 1.7677
```

<c>
This record from the Materials Project describes a relaxed structure of MgCr4O8. The functional is GGA+U.

Calculated values
Calculated volume, Å³ per atom: 10.261

The structure in extended XYZ format:
```
13
Lattice="4.7756 0.0000 0.0000 0.1210 5.0124 0.0000 0.2425 0.4428 5.5724" Properties=species:S:1:pos:R:3 pbc="T T T"
Mg 0.0000 0.0000 0.0000
Cr 0.3115 3.6066 3.5996
Cr 0.3078 1.1379 2.1952
Cr 2.6642 1.3856 4.7769
Cr 2.6857 3.3553 0.9303
O 1.1941 0.3897 3.7678
O 1.4546 2.7143 2.2709
O 1.6323 2.9248 5.0735
O 1.6650 0.1494 0.8787
O 3.6928 4.5381 4.8165
O 3.7844 1.7274 0.6315
O 3.9247 2.0121 3.4815
O 4.2016 4.3603 1.9704
```

Stability ranking, top entry: <a>; the second entry is 179 meV/atom less favorable.

<a>
This record from the Materials Project describes a relaxed structure of MgCr4O8. The functional is GGA+U.

Calculated values
Calculated volume, Å³ per atom: 11.431

The structure in extended XYZ format:
```
13
Lattice="5.1433 -2.9609 0.0000 5.1433 2.9609 0.0000 -3.4074 0.0000 4.8788" Properties=species:S:1:pos:R:3 pbc="T T T"
Mg 0.0000 0.0000 0.0000
Cr 3.4455 0.0000 0.6738
Cr 6.0526 1.4237 2.4828
Cr 6.0526 -1.4237 2.4828
Cr 8.4946 0.0000 2.5467
O 2.5852 1.6286 3.4902
O 1.6795 0.0000 1.2708
O 0.0347 0.0000 3.6427
O 4.3474 1.5366 1.2986
O 2.5852 -1.6286 3.4902
O 5.3711 0.0000 3.5505
O 4.3474 -1.5366 1.2986
O 6.9133 0.0000 1.4493
```

<b>
This record from the Materials Project describes a relaxed structure of MgCr4O8. The functional is GGA+U.

Calculated values
Calculated volume, Å³ per atom: 11.282

The structure in extended XYZ format:
```
13
Lattice="-2.8242 3.1578 4.1114 2.8242 -3.1578 4.1114 2.8242 3.1578 -4.1114" Properties=species:S:1:pos:R:3 pbc="T T T"
Mg 0.0000 0.0000 0.0000
Cr 2.8242 1.5253 -1.5508
Cr 2.8242 0.0000 3.4385
Cr 0.0000 1.6326 2.5606
Cr 0.0000 0.0000 5.4008
O 1.5494 3.1578 -1.6350
O 1.2748 0.0000 2.4764
O 2.8242 1.6607 0.3932
O 0.0000 1.8304 0.5548
O 0.0000 4.4853 0.5548
O 0.0000 1.4971 4.5046
O -1.4160 3.1578 2.6084
O 1.4160 3.1578 2.6084
```

Stability ranking, top entry: <a>; the second entry is 38 meV/atom less favorable.